# 1
20
Lattice="-3.710 3.710 3.710 3.710 -3.710 3.710 3.710 3.710 -3.710" Properties=species:S:1:pos:R:3 comment="MgTi4Cu3O12 | the Materials Project database | PBE | optimized geometry" vol_a3_per_fu=204.3 de_polymorph_mev_per_atom=4 ef_mev_per_atom=-2584 space_group=Im-3 pbc="T T T"
Mg 0.000 0.000 0.000
Ti 1.855 1.855 -1.855
Ti 1.855 -1.855 1.855
Ti -1.855 1.855 1.855
Ti 1.855 1.855 1.855
Cu 3.710 0.000 0.000
Cu 0.000 3.710 0.000
Cu 0.000 0.000 3.710
O 3.710 2.409 -1.478
O 2.232 0.000 1.302
O 5.188 0.000 1.302
O 1.302 2.232 0.000
O 2.409 -1.478 3.710
O 0.000 1.302 2.232
O 3.710 2.409 1.478
O 1.302 5.188 0.000
O 2.409 1.478 3.710
O -1.478 3.710 2.409
O 1.478 3.710 2.409
O 0.000 1.302 5.188

***

# 2
222
Lattice="8.710 0.000 0.000 -0.002 15.157 0.000 -0.055 -0.123 22.336" Properties=species:S:1:pos:R:3 comment="Na6Ta4Al4Si7S5O48 | the Materials Project database | PBE | optimized geometry" vol_a3_per_fu=982.9 ef_mev_per_atom=-2777 space_group=P1 pbc="T T T"
Na 0.000 0.000 0.000
Na 8.698 10.176 3.721
Na 0.001 5.022 7.411
Na 0.125 -0.018 11.134
Na 1.003 7.530 16.680
Na 1.197 12.652 1.812
Na 3.124 5.035 12.924
Na 3.306 0.011 5.587
Na 4.146 7.526 22.335
Na 4.289 7.602 11.095
Na 4.275 12.512 18.544
Na 4.319 2.528 14.795
Na 4.422 2.603 3.859
Na 4.484 12.557 7.243
Na 5.564 -0.050 16.723
Na 7.429 7.606 5.687
Na 8.494 4.978 18.349
Na 8.603 10.116 14.912
Ta 0.032 5.108 21.708
Ta 0.091 10.072 11.619
Ta 0.166 5.077 10.662
Ta 4.131 12.588 21.832
Ta 4.171 12.667 10.459
Ta 4.377 2.581 0.536
Ta 4.390 7.590 3.240
Ta 4.407 7.472 19.073
Ta 4.470 7.582 7.924
Ta 8.499 15.032 19.005
Ta 8.591 15.099 7.923
Ta 8.625 -0.061 14.349
Al 0.002 4.966 4.168
Al 0.282 10.216 0.317
Al 4.038 2.563 11.488
Al 4.349 12.456 15.251
Al 4.395 12.651 4.129
Al 4.387 7.639 14.379
Al 4.415 2.528 6.914
Al 4.559 2.461 18.128
Al 8.526 10.119 7.090
Al 8.612 5.011 15.269
Al 8.602 10.035 18.067
Al 8.680 0.046 3.307
Si 1.110 12.126 20.363
Si 1.186 8.040 20.334
Si 1.236 2.874 13.075
Si 1.295 7.231 13.199
Si 1.879 12.583 13.117
Si 2.385 10.056 9.085
Si 2.446 5.089 1.951
Si 3.005 14.858 2.006
Si 3.086 10.501 1.907
Si 3.115 0.516 9.161
Si 3.189 4.589 9.191
Si 5.496 0.291 20.377
Si 5.541 4.567 20.415
Si 5.658 9.922 5.547
Si 5.664 5.267 5.517
Si 6.145 0.030 5.397
Si 6.867 7.549 16.566
Si 7.331 12.749 16.636
Si 7.415 2.268 16.683
Si 7.438 12.201 9.271
Si 7.510 7.925 9.238
S 1.209 2.221 5.480
S 1.215 12.957 5.493
S 1.795 7.573 5.519
S 1.849 2.450 20.379
S 2.500 -0.021 16.715
S 3.092 5.276 16.695
S 3.090 9.737 16.653
S 5.516 14.817 12.989
S 5.539 10.415 13.022
S 6.166 5.011 13.005
S 6.232 10.059 20.453
S 6.763 2.540 9.296
S 6.862 12.644 1.834
S 7.498 7.308 1.833
S 7.524 2.900 1.862
O 0.559 3.552 5.358
O 0.517 11.633 21.794
O 0.537 8.550 18.972
O 0.560 3.515 11.702
O 0.566 1.375 13.206
O 0.584 11.650 5.616
O 0.580 8.671 12.940
O 0.570 6.450 20.551
O 0.621 1.600 6.698
O 0.621 6.503 14.449
O 0.653 13.628 4.284
O 0.610 13.712 20.178
O 0.848 11.215 19.093
O 0.909 6.384 5.345
O 0.885 11.301 12.966
O 0.892 8.761 21.730
O 0.921 13.916 13.186
O 0.956 8.784 5.577
O 0.960 13.850 6.703
O 0.977 1.361 4.286
O 0.942 3.651 20.552
O 0.979 3.873 14.299
O 0.994 1.250 20.289
O 1.073 6.285 11.804
O 1.371 14.979 2.113
O 1.453 10.377 1.702
O 1.454 4.884 3.172
O 1.456 10.347 7.830
O 1.484 0.267 8.983
O 1.510 4.773 9.366
O 1.541 5.253 0.565
O 1.592 9.860 10.525
O 1.621 5.222 16.661
O 1.631 9.862 16.775
O 1.651 0.169 15.510
O 1.650 14.898 17.913
O 2.614 7.333 6.702
O 2.668 2.347 5.579
O 2.629 2.278 21.631
O 2.668 7.766 4.302
O 2.655 2.693 19.193
O 2.684 12.891 5.446
O 2.776 12.799 11.755
O 2.781 12.308 20.526
O 2.805 7.762 20.176
O 2.844 12.416 14.380
O 2.867 2.742 12.883
O 2.935 7.332 13.307
O 3.253 13.925 0.610
O 3.330 11.530 3.108
O 3.321 1.210 16.837
O 3.322 8.873 15.472
O 3.351 8.756 9.032
O 3.360 1.253 10.560
O 3.349 6.188 17.906
O 3.373 11.366 9.349
O 3.398 3.771 1.726
O 3.412 6.397 1.980
O 3.390 13.960 16.576
O 3.423 3.670 7.919
O 3.693 1.155 1.664
O 3.680 3.940 16.903
O 3.681 5.894 15.499
O 3.672 9.104 17.883
O 3.707 14.170 3.253
O 3.714 6.134 9.000
O 3.711 14.111 9.363
O 3.759 9.007 2.012
O 3.758 11.167 0.526
O 3.754 1.042 7.794
O 3.755 4.095 10.636
O 3.745 11.068 16.543
O 4.862 0.909 19.029
O 4.865 3.954 21.766
O 4.899 9.079 13.152
O 4.928 11.316 5.300
O 4.968 3.852 5.720
O 4.973 6.051 4.213
O 4.935 6.108 20.295
O 4.968 9.096 6.803
O 4.975 11.049 11.822
O 4.984 1.018 12.858
O 4.962 13.918 20.593
O 4.997 14.195 14.233
O 5.192 1.329 5.641
O 5.204 13.861 5.327
O 5.215 1.215 21.699
O 5.255 6.202 13.139
O 5.274 3.740 19.091
O 5.308 13.970 11.804
O 5.312 3.797 12.866
O 5.293 8.857 20.308
O 5.316 11.232 14.244
O 5.342 11.253 20.575
O 5.388 8.835 4.277
O 5.450 6.339 6.758
O 5.705 12.781 16.426
O 5.775 2.252 16.803
O 5.817 7.753 15.364
O 5.850 12.459 9.531
O 5.870 7.780 9.188
O 5.878 7.356 17.936
O 5.979 2.293 10.492
O 5.994 7.372 1.879
O 6.012 2.766 1.750
O 6.012 2.708 8.048
O 6.032 12.461 3.017
O 6.047 12.896 0.600
O 6.986 5.256 11.785
O 6.993 4.819 14.204
O 6.987 10.224 19.222
O 7.013 10.270 12.938
O 7.012 9.813 21.665
O 7.036 14.912 13.079
O 7.134 15.000 6.755
O 7.183 0.248 4.175
O 7.155 0.199 20.323
O 7.156 4.738 20.653
O 7.291 5.269 5.252
O 7.293 9.907 5.674
O 7.533 13.828 17.937
O 7.615 11.401 7.912
O 7.650 3.735 9.412
O 7.659 1.177 15.461
O 7.712 3.727 3.051
O 7.699 1.336 9.139
O 7.716 11.428 1.679
O 7.730 6.445 0.603
O 7.733 8.840 10.569
O 7.775 13.834 1.955
O 7.806 6.220 16.502
O 7.815 8.847 16.816
O 8.043 3.534 0.626
O 8.038 6.674 3.028
O 8.046 8.653 1.652
O 8.037 13.582 15.406
O 8.040 11.363 16.895
O 8.064 6.392 9.453
O 8.110 1.556 1.962
O 8.076 1.462 17.991
O 8.095 13.739 9.127
O 8.114 8.501 7.864
O 8.120 11.602 10.620
O 8.110 3.681 16.487

***

# 3
10
Lattice="0.000 5.043 5.043 5.043 0.000 5.043 5.043 5.043 0.000" Properties=species:S:1:pos:R:3 comment="Zr4Ir | the Materials Project database | PBE | optimized geometry" vol_a3_per_fu=128.3 ef_mev_per_atom=447 space_group=Fd-3m pbc="T T T"
Zr 7.742 4.866 4.866
Zr 2.345 2.345 2.345
Zr 5.220 5.220 2.345
Zr 5.220 2.345 5.220
Zr 4.866 7.742 4.866
Zr 4.866 4.866 7.742
Zr 7.742 7.742 7.742
Zr 2.345 5.220 5.220
Ir 3.782 3.782 3.782
Ir 6.304 6.304 6.304

***

# 4
4
Lattice="-1.889 1.889 3.839 1.889 -1.889 3.839 1.889 1.889 -3.839" Properties=species:S:1:pos:R:3 comment="LiRh3 | the Materials Project database | PBE | optimized geometry" vol_a3_per_fu=54.8 ef_mev_per_atom=-68 space_group=I4/mmm pbc="T T T"
Li 0.000 0.000 0.000
Rh 1.889 0.000 1.920
Rh 0.000 0.000 3.839
Rh 0.000 1.889 1.920

***

# 5
8
Lattice="2.818 0.000 0.000 0.000 2.818 0.000 0.000 0.000 21.286" Properties=species:S:1:pos:R:3 comment="Pr2Si3Pt3 | the Materials Project database | PBE | optimized geometry" vol_a3_per_fu=169.1 ef_mev_per_atom=441 space_group=P4/mmm pbc="T T T"
Pr 0.000 0.000 5.235
Pr 0.000 0.000 16.051
Si 0.000 0.000 0.000
Si 0.000 0.000 8.293
Si 0.000 0.000 12.993
Pt 0.000 0.000 2.374
Pt 0.000 0.000 10.643
Pt 0.000 0.000 18.912

***

# 6
6
Lattice="-2.720 2.720 4.764 2.720 -2.720 4.764 2.720 2.720 -4.764" Properties=species:S:1:pos:R:3 comment="MnS2 | the Materials Project database | PBE | optimized geometry" vol_a3_per_fu=70.5 ef_mev_per_atom=-581 space_group=I-42d pbc="T T T"
Mn 0.000 0.000 0.000
Mn 0.000 2.720 2.382
S 4.080 1.067 -1.191
S 1.067 1.360 1.191
S -1.360 1.653 3.573
S 1.653 1.360 5.955

***

# 7
42
Lattice="21.189 -4.305 0.000 21.189 4.305 0.000 -6.463 0.000 19.388" Properties=species:S:1:pos:R:3 comment="CeSe2 | the Materials Project database | PBE | optimized geometry" vol_a3_per_fu=252.6 ef_mev_per_atom=-1397 space_group=C2/m pbc="T T T"
Ce -0.029 0.000 8.013
Ce -1.233 0.000 12.783
Ce 7.238 0.000 13.761
Ce 5.723 0.000 18.966
Ce 10.068 0.000 7.088
Ce 14.304 0.000 4.050
Ce 12.124 0.000 12.027
Ce 23.790 0.000 7.361
Ce 21.611 0.000 15.338
Ce 25.846 0.000 12.300
Ce 30.191 0.000 0.422
Ce 28.677 0.000 5.627
Ce 37.147 0.000 6.605
Ce 35.943 0.000 11.375
Se 10.594 2.152 0.000
Se 8.411 2.153 6.999
Se -3.744 0.000 11.797
Se 0.525 0.000 10.689
Se 15.674 2.158 4.963
Se 13.667 2.150 12.636
Se 6.536 0.000 16.385
Se 11.725 0.000 4.937
Se 22.247 2.150 6.752
Se 20.241 2.158 14.425
Se 9.947 0.000 13.669
Se 11.484 0.000 9.394
Se 14.263 0.000 1.333
Se 27.503 2.153 12.389
Se 10.594 -2.152 0.000
Se 8.411 -2.153 6.999
Se 21.652 0.000 18.054
Se 24.431 0.000 9.994
Se 25.967 0.000 5.718
Se 15.674 -2.158 4.963
Se 13.667 -2.150 12.636
Se 24.190 0.000 14.450
Se 29.379 0.000 3.002
Se 22.247 -2.150 6.752
Se 20.241 -2.158 14.425
Se 35.389 0.000 8.699
Se 39.659 0.000 7.591
Se 27.503 -2.153 12.389

***

# 8
28
Lattice="13.224 0.000 0.000 0.000 3.959 0.000 0.000 0.000 13.442" Properties=species:S:1:pos:R:3 comment="Eu2MgS4 | the Materials Project database | PBE | optimized geometry" vol_a3_per_fu=175.9 de_polymorph_mev_per_atom=60 ef_mev_per_atom=-1740 space_group=Pnma pbc="T T T"
Eu 1.606 0.990 0.987
Eu 1.745 0.990 9.512
Eu 4.867 2.969 2.791
Eu 5.006 2.969 7.708
Eu 8.218 0.990 5.734
Eu 8.357 0.990 10.651
Eu 11.479 2.969 3.930
Eu 11.618 2.969 12.455
Mg 1.429 2.969 6.171
Mg 5.183 0.990 12.893
Mg 8.041 2.969 0.550
Mg 11.795 0.990 7.271
S 0.071 2.969 8.270
S 0.307 0.990 11.929
S 3.031 0.990 3.382
S 3.059 0.990 6.891
S 3.553 2.969 0.170
S 3.581 2.969 10.103
S 6.305 2.969 5.208
S 6.541 0.990 1.549
S 6.683 2.969 11.893
S 6.919 0.990 8.234
S 9.643 0.990 3.339
S 9.671 0.990 13.272
S 10.165 2.969 6.551
S 10.193 2.969 10.060
S 12.917 2.969 1.513
S 13.152 0.990 5.172

***

# 9
24
Lattice="10.486 0.000 0.000 -5.243 9.081 0.000 0.000 0.000 7.431" Properties=species:S:1:pos:R:3 comment="TlAgSe2 | the Materials Project database | PBE | optimized geometry" vol_a3_per_fu=117.9 ef_mev_per_atom=-162 space_group=P6_3/mcm pbc="T T T"
Tl 0.000 0.000 1.858
Tl 0.000 0.000 5.573
Tl 0.000 6.054 1.858
Tl 0.000 6.054 5.573
Tl 5.243 3.027 1.858
Tl 5.243 3.027 5.573
Ag -1.523 2.638 1.858
Ag -3.720 6.443 5.573
Ag 3.047 0.000 1.858
Ag 1.523 2.638 5.573
Ag 7.440 0.000 5.573
Ag 3.720 6.443 1.858
Se 0.000 3.687 0.000
Se 0.000 3.687 3.715
Se -2.051 7.238 0.000
Se -2.051 7.238 3.715
Se 3.193 1.843 0.000
Se 3.193 1.843 3.715
Se 2.051 7.238 0.000
Se 2.051 7.238 3.715
Se 7.294 1.843 0.000
Se 7.294 1.843 3.715
Se 5.243 5.395 0.000
Se 5.243 5.395 3.715

***

no.,E_tot (eV/atom)
1,-7.4142
2,-7.2847
3,-8.1584
4,-6.0682
5,-5.0652
6,-6.0573
7,-5.3911
8,-6.9750
9,-2.9730